First-principles (GGA-PBE) data for an optimized crystal structure of BaB2O4, as listed in the Materials Project database.

calculated total energy	-7.7138	eV per atom
energy above the lowest structure with this stoichiometry	0	meV per atom
total energy after the MP2020 corrections	-8.106	eV/atom
energy of formation from the pure elements	-3096	meV per atom
magnetic moment	0.0	μB per cell

Lattice parameters (Å, degrees): 12.6718 12.6718 13.0937 90.00 90.00 120.00
Space group R3c (No. 161, hexagonal axes)
Inequivalent atoms, fractional coordinates:
Ba1 0.0248 0.3369 0.0000 x18
B1 0.0228 0.1234 0.5273 x18
B2 0.0423 0.1294 0.7903 x18
O1 0.0477 0.2383 0.5216 x18
O2 0.0849 0.2486 0.7950 x18
O3 0.1189 0.0225 0.0294 x18
O4 0.1242 0.0411 0.2884 x18

---

First-principles (GGA-PBE) data for an optimized crystal structure of Sr2InReO6, as listed in the Materials Project database.

calculated total energy	-6.8961	eV per atom
total energy after the MP2020 corrections	-7.308	eV/atom
energy of formation from the pure elements	-2482	meV per atom
magnetic moment	8.0	μB per cell

Lattice parameters (Å, degrees): 8.208 8.208 8.208 90.00 90.00 90.00
Space group Fm-3m (No. 225)
Inequivalent atoms, fractional coordinates:
Sr1 0.250 0.250 0.250 x8
In1 0.000 0.000 0.000 x4
Re1 0.000 0.000 0.500 x4
O1 0.000 0.000 0.260 x24

---

First-principles (GGA-PBE) data for an optimized crystal structure of NdCr2Si2, as listed in the Materials Project database.

calculated total energy	-7.3474	eV per atom
total energy after the MP2020 corrections	-7.319	eV/atom
energy of formation from the pure elements	-334	meV per atom
magnetic moment	2.0	μB per cell

Lattice parameters (Å, degrees): 3.921 3.921 10.828 90.00 90.00 90.00
Space group I4/mmm (No. 139)
Inequivalent atoms, fractional coordinates:
Nd1 0.000 0.000 0.000 x2
Cr1 0.000 0.500 0.250 x4
Si1 0.000 0.000 0.380 x4

---

First-principles (GGA-PBE) data for an optimized crystal structure of Na8Al12SO28, as listed in the Materials Project database.

calculated total energy	-6.3455	eV per atom
total energy after the MP2020 corrections	-6.738	eV/atom
energy of formation from the pure elements	-2693	meV per atom
magnetic moment	6.0	μB per cell

Lattice parameters (Å, degrees): 9.488 9.488 9.488 90.00 90.00 90.00
Space group P-43m (No. 215)
Inequivalent atoms, fractional coordinates:
Na1 0.203 0.203 0.797 x4
Na2 0.233 0.233 0.233 x4
Al1 0.000 0.251 0.500 x12
S1 0.000 0.000 0.000 x1
O1 0.041 0.349 0.349 x12
O2 0.091 0.091 0.091 x4
O3 0.146 0.146 0.543 x12

---

First-principles (GGA-PBE) data for an optimized crystal structure of PaGaPt2, as listed in the Materials Project database.

calculated total energy	-6.9706	eV per atom
energy of formation from the pure elements	-799	meV per atom

Lattice parameters (Å, degrees): 6.758 6.758 6.758 90.00 90.00 90.00
Space group Fm-3m (No. 225)
Inequivalent atoms, fractional coordinates:
Pa1 0.000 0.000 0.000 x4
Ga1 0.000 0.000 0.500 x4
Pt1 0.250 0.250 0.250 x8

---

First-principles (GGA-PBE) data for an optimized crystal structure of Sm2MgRu, as listed in the Materials Project database.

calculated total energy	-5.1944	eV per atom
energy of formation from the pure elements	-116	meV per atom
magnetic moment	0.0	μB per cell

Lattice parameters (Å, degrees): 7.263 7.263 7.263 90.00 90.00 90.00
Space group Fm-3m (No. 225)
Inequivalent atoms, fractional coordinates:
Sm1 0.250 0.250 0.250 x8
Mg1 0.000 0.000 0.000 x4
Ru1 0.000 0.000 0.500 x4

---

First-principles (GGA-PBE) data for an optimized crystal structure of KNb2P2S12, as listed in the Materials Project database.

calculated total energy	-5.4490	eV per atom
total energy after the MP2020 corrections	-5.804	eV/atom
energy of formation from the pure elements	-994	meV per atom
magnetic moment	0.0	μB per cell

Lattice parameters (Å, degrees): 13.365 16.158 16.192 90.00 90.00 90.00
Space group Ibca (No. 73)
Inequivalent atoms, fractional coordinates:
K1 0.250 0.182 0.000 x8
Nb1 0.124 0.069 0.319 x16
P1 0.000 0.250 0.319 x8
P2 0.250 0.070 0.500 x8
S1 0.004 0.044 0.705 x16
S2 0.018 0.148 0.893 x16
S3 0.123 0.216 0.251 x16
S4 0.127 0.000 0.033 x16
S5 0.231 0.143 0.603 x16
S6 0.247 0.045 0.794 x16

---

First-principles (GGA-PBE) data for an optimized crystal structure of Ca2AlBiO5, as listed in the Materials Project database.

calculated total energy	-6.4389	eV per atom
total energy after the MP2020 corrections	-6.821	eV/atom
energy of formation from the pure elements	-2778	meV per atom
magnetic moment	0.0	μB per cell

Lattice parameters (Å, degrees): 5.671 6.018 8.753 69.99 72.39 89.99
Space group P1 (No. 1)
Inequivalent atoms, fractional coordinates:
Ca1 0.000 0.000 0.000 x1
Ca2 0.244 0.226 0.471 x1
Ca3 0.499 0.479 0.000 x1
Ca4 0.743 0.785 0.472 x1
Al1 0.384 0.802 0.244 x1
Al2 0.884 0.435 0.244 x1
Bi1 0.142 0.610 0.768 x1
Bi2 0.643 0.100 0.768 x1
O1 0.025 0.360 0.058 x1
O2 0.047 0.252 0.726 x1
O3 0.074 0.670 0.266 x1
O4 0.310 0.814 0.886 x1
O5 0.372 0.885 0.423 x1
O6 0.525 0.062 0.058 x1
O7 0.547 0.500 0.726 x1
O8 0.574 0.545 0.267 x1
O9 0.809 0.777 0.889 x1
O10 0.872 0.175 0.423 x1

---

First-principles (GGA-PBE) data for an optimized crystal structure of Si2As2O7, as listed in the Materials Project database.

calculated total energy	-7.0067	eV per atom
total energy after the MP2020 corrections	-7.444	eV/atom
energy of formation from the pure elements	-2462	meV per atom
magnetic moment	0.0	μB per cell

Lattice parameters (Å, degrees): 7.176 7.354 12.987 93.81 96.51 93.56
Space group P-1 (No. 2)
Inequivalent atoms, fractional coordinates:
Si1 0.022 0.316 0.129 x2
Si2 0.187 0.866 0.614 x2
Si3 0.339 0.741 0.403 x2
Si4 0.419 0.813 0.192 x2
As1 0.003 0.746 0.119 x2
As2 0.247 0.305 0.356 x2
As3 0.259 0.317 0.656 x2
As4 0.386 0.779 0.836 x2
O1 0.022 0.240 0.397 x2
O2 0.057 0.483 0.846 x2
O3 0.097 0.290 0.015 x2
O4 0.151 0.837 0.862 x2
O5 0.175 0.080 0.653 x2
O6 0.201 0.281 0.215 x2
O7 0.210 0.549 0.376 x2
O8 0.253 0.716 0.104 x2
O9 0.263 0.856 0.500 x2
O10 0.324 0.864 0.301 x2
O11 0.336 0.763 0.694 x2
O12 0.419 0.331 0.777 x2
O13 0.437 0.296 0.566 x2
O14 0.487 0.010 0.856 x2

---

First-principles (GGA-PBE) data for an optimized crystal structure of Hg4Se4O9, as listed in the Materials Project database.

calculated total energy	-4.1045	eV per atom
total energy after the MP2020 corrections	-4.468	eV/atom
energy of formation from the pure elements	-955	meV per atom
magnetic moment	0.0	μB per cell

Lattice parameters (Å, degrees): 9.975 10.566 15.297 90.00 126.70 90.00
Space group P2_1/c (No. 14)
Inequivalent atoms, fractional coordinates:
Hg1 0.031 0.219 0.071 x4
Hg2 0.128 0.590 0.737 x4
Hg3 0.162 0.546 0.203 x4
Hg4 0.448 0.709 0.716 x4
Se1 0.234 0.026 0.998 x4
Se2 0.268 0.507 0.025 x4
Se3 0.290 0.244 0.340 x4
Se4 0.345 0.734 0.326 x4
O1 0.080 0.541 0.367 x4
O2 0.104 0.183 0.730 x4
O3 0.123 0.033 0.389 x4
O4 0.141 0.171 0.983 x4
O5 0.201 0.073 0.593 x4
O6 0.202 0.564 0.576 x4
O7 0.226 0.663 0.036 x4
O8 0.311 0.125 0.275 x4
O9 0.437 0.145 0.859 x4

---

First-principles (GGA-PBE) data for an optimized crystal structure of LiZnPO4, as listed in the Materials Project database.

calculated total energy	-6.2042	eV per atom
energy above the lowest structure with this stoichiometry	3	meV per atom
total energy after the MP2020 corrections	-6.597	eV/atom
energy of formation from the pure elements	-2543	meV per atom
magnetic moment	0.0	μB per cell

Lattice parameters (Å, degrees): 13.8758 13.8758 9.2298 90.00 90.00 120.00
Space group R3 (No. 146, hexagonal axes)
Inequivalent atoms, fractional coordinates:
Li1 0.0203 0.2127 0.0000 x9
Li2 0.1385 0.6787 0.1636 x9
Zn1 0.0119 0.2072 0.6660 x9
Zn2 0.1406 0.6864 0.8311 x9
P1 0.0133 0.2096 0.3324 x9
P2 0.1353 0.6768 0.4969 x9
O1 0.0027 0.3160 0.3300 x9
O2 0.0203 0.6706 0.4993 x9
O3 0.0730 0.2054 0.4729 x9
O4 0.0778 0.2066 0.1961 x9
O5 0.1070 0.2179 0.8307 x9
O6 0.2000 0.7366 0.3576 x9
O7 0.2030 0.1296 0.9674 x9
O8 0.2139 0.1067 0.3324 x9

---

Repeat the third record exactly.
First-principles (GGA-PBE) data for an optimized crystal structure of NdCr2Si2, as listed in the Materials Project database.

calculated total energy	-7.3474	eV per atom
total energy after the MP2020 corrections	-7.319	eV/atom
energy of formation from the pure elements	-334	meV per atom
magnetic moment	2.0	μB per cell

Lattice parameters (Å, degrees): 3.921 3.921 10.828 90.00 90.00 90.00
Space group I4/mmm (No. 139)
Inequivalent atoms, fractional coordinates:
Nd1 0.000 0.000 0.000 x2
Cr1 0.000 0.500 0.250 x4
Si1 0.000 0.000 0.380 x4

---

Among the records above, which one has the lowest calculated total energy? BaB2O4

---

Among the records above, which one has the lowest energy of formation from the pure elements? BaB2O4

---

Which value of energy of formation from the pure elements does entry 11 give? -2543 meV per atom